{"formula": "ZrSe", "functional": "GGA-PBE", "state": "optimized geometry", "cell": [[5.190, 0.000, 0.000], [2.441, 6.180, 0.000], [2.547, 0.024, 6.190]], "species": ["Se", "Zr", "Zr", "Zr", "Se", "Se", "Se", "Zr"], "frac_coords": [[0.233, 0.662, 0.376], [0.664, 0.760, 0.421], [0.336, 0.240, 0.579], [0.081, 0.081, 0.259], [0.767, 0.338, 0.624], [0.609, 0.125, 0.160], [0.391, 0.875, 0.840], [0.919, 0.919, 0.741]], "density_g_cm3": 5.69, "dft_energy_ev_per_atom": -7.030, "ef_mev_per_atom": -1244, "m_tot_mub_per_cell": 0.01}

{"formula": "Sm5Si3", "functional": "GGA-PBE", "state": "optimized geometry", "cell": [[4.327, -7.495, 0.000], [4.327, 7.495, 0.000], [0.000, 0.000, 6.567]], "species": ["Si", "Sm", "Si", "Sm", "Sm", "Si", "Si", "Sm", "Si", "Sm", "Sm", "Sm", "Sm", "Si", "Sm", "Sm"], "frac_coords": [[0.391, 0.391, 0.250], [0.247, 0.000, 0.250], [0.000, 0.609, 0.250], [0.000, 0.753, 0.750], [0.753, 0.753, 0.250], [0.609, 0.000, 0.250], [0.609, 0.609, 0.750], [0.000, 0.247, 0.250], [0.000, 0.391, 0.750], [0.333, 0.667, 0.500], [0.333, 0.667, 0.000], [0.753, 0.000, 0.750], [0.247, 0.247, 0.750], [0.391, 0.000, 0.750], [0.667, 0.333, 0.500], [0.667, 0.333, 0.000]], "density_g_cm3": 6.52, "dft_energy_ev_per_atom": -5.592, "ef_mev_per_atom": -582}

{"formula": "Sm3Si", "functional": "GGA-PBE", "state": "optimized geometry", "cell": [[0.177, 6.131, 3.237], [-3.156, -5.407, 2.984], [4.361, -1.309, 2.241]], "species": ["Si", "Sm", "Sm", "Sm", "Sm", "Sm", "Si", "Sm"], "frac_coords": [[0.667, 0.333, 0.250], [0.820, 0.640, 0.750], [0.640, 0.820, 0.250], [0.360, 0.180, 0.750], [0.820, 0.180, 0.750], [0.180, 0.360, 0.250], [0.333, 0.667, 0.750], [0.180, 0.820, 0.250]], "density_g_cm3": 7.53, "dft_energy_ev_per_atom": -5.141, "ef_mev_per_atom": -228, "m_tot_mub_per_cell": 0.00}

{"formula": "SiSn", "functional": "GGA-PBE", "state": "optimized geometry", "cell": [[0.000, 3.035, 3.035], [3.035, 0.000, 3.035], [3.035, 3.035, 0.000]], "species": ["Sn", "Si"], "frac_coords": [[0.250, 0.250, 0.250], [0.000, 0.000, 0.000]], "density_g_cm3": 4.36, "dft_energy_ev_per_atom": -4.561, "ef_mev_per_atom": 156, "m_tot_mub_per_cell": 0.00}

{"formula": "Si18Sn", "functional": "GGA-PBE", "state": "optimized geometry", "cell": [[4.924, 1.767, 0.000], [-4.924, 1.767, 0.000], [0.000, 0.092, 63.315]], "species": ["Si", "Si", "Si", "Si", "Si", "Sn", "Si", "Si", "Si", "Si", "Si", "Si", "Si", "Si", "Si", "Si", "Si", "Si", "Si"], "frac_coords": [[0.573, 0.573, 0.448], [0.121, 0.451, 0.401], [0.451, 0.121, 0.401], [0.784, 0.784, 0.402], [0.055, 0.385, 0.201], [0.200, 0.200, 0.600], [0.720, 0.720, 0.201], [0.238, 0.907, 0.449], [0.102, 0.771, 0.049], [0.990, 0.320, 0.000], [0.656, 0.656, 0.000], [0.385, 0.055, 0.201], [0.839, 0.169, 0.249], [0.907, 0.238, 0.449], [0.771, 0.102, 0.049], [0.169, 0.839, 0.249], [0.320, 0.990, 0.000], [0.503, 0.503, 0.249], [0.436, 0.436, 0.050]], "density_g_cm3": 0.94, "dft_energy_ev_per_atom": -4.483, "ef_mev_per_atom": 867, "m_tot_mub_per_cell": 0.40}

{"formula": "Zr5SiSn3", "functional": "GGA-PBE", "state": "optimized geometry", "cell": [[4.353, -7.539, 0.000], [4.353, 7.539, 0.000], [0.000, 0.000, 5.925]], "species": ["Zr", "Si", "Sn", "Zr", "Sn", "Sn", "Zr", "Sn", "Zr", "Zr", "Zr", "Si", "Zr", "Sn", "Zr", "Sn", "Zr", "Zr"], "frac_coords": [[0.257, 0.257, 0.250], [0.000, 0.000, 0.500], [0.000, 0.394, 0.250], [0.667, 0.333, 0.500], [0.394, 0.394, 0.750], [0.606, 0.606, 0.250], [0.000, 0.257, 0.750], [0.606, 0.000, 0.750], [0.000, 0.743, 0.250], [0.667, 0.333, 0.000], [0.257, 0.000, 0.750], [0.000, 0.000, 0.000], [0.743, 0.000, 0.250], [0.394, 0.000, 0.250], [0.743, 0.743, 0.750], [0.000, 0.606, 0.750], [0.333, 0.667, 0.500], [0.333, 0.667, 0.000]], "density_g_cm3": 7.18, "dft_energy_ev_per_atom": -7.402, "ef_mev_per_atom": -714}

{"formula": "SrSi6", "functional": "GGA-PBE", "state": "optimized geometry", "cell": [[-0.780, 4.377, 3.458], [0.767, -0.413, -5.565], [-11.577, -0.852, -1.533]], "species": ["Si", "Si", "Si", "Si", "Si", "Sr", "Si", "Sr", "Si", "Si", "Si", "Si", "Si", "Si"], "frac_coords": [[0.978, 0.022, 0.101], [0.441, 0.559, 0.853], [0.246, 0.754, 0.962], [0.754, 0.246, 0.038], [0.441, 0.559, 0.647], [0.724, 0.276, 0.750], [0.559, 0.441, 0.147], [0.276, 0.724, 0.250], [0.246, 0.754, 0.538], [0.022, 0.978, 0.899], [0.754, 0.246, 0.462], [0.022, 0.978, 0.601], [0.559, 0.441, 0.353], [0.978, 0.022, 0.399]], "density_g_cm3": 3.13, "dft_energy_ev_per_atom": -4.975, "ef_mev_per_atom": -23, "m_tot_mub_per_cell": 0.00}

{"formula": "Sr2Si", "functional": "GGA-PBE", "state": "optimized geometry", "cell": [[2.707, -4.689, 0.000], [2.707, 4.689, 0.000], [0.000, 0.000, 7.551]], "species": ["Si", "Sr", "Sr", "Sr", "Sr", "Si"], "frac_coords": [[0.333, 0.667, 0.250], [0.000, 0.000, 0.000], [0.667, 0.333, 0.250], [0.000, 0.000, 0.500], [0.333, 0.667, 0.750], [0.667, 0.333, 0.750]], "density_g_cm3": 3.52, "dft_energy_ev_per_atom": -3.220, "ef_mev_per_atom": -262, "m_tot_mub_per_cell": 0.00}

{"formula": "Sr2Si", "functional": "GGA-PBE", "state": "optimized geometry", "cell": [[5.150, 0.000, 0.000], [0.000, 8.132, 0.000], [0.000, 0.000, 9.617]], "species": ["Sr", "Si", "Sr", "Sr", "Sr", "Si", "Sr", "Si", "Sr", "Sr", "Sr", "Si"], "frac_coords": [[0.250, 0.150, 0.578], [0.750, 0.748, 0.102], [0.750, 0.981, 0.827], [0.250, 0.519, 0.327], [0.750, 0.850, 0.422], [0.250, 0.252, 0.898], [0.750, 0.481, 0.673], [0.750, 0.248, 0.398], [0.250, 0.650, 0.922], [0.750, 0.350, 0.078], [0.250, 0.019, 0.173], [0.250, 0.752, 0.602]], "density_g_cm3": 3.35, "dft_energy_ev_per_atom": -3.298, "ef_mev_per_atom": -340}

{"formula": "Sr5Si3", "functional": "GGA-PBE", "state": "optimized geometry", "cell": [[9.038, -3.716, -0.355], [-0.165, -8.949, 3.938], [-5.559, 4.094, -6.925]], "species": ["Sr", "Si", "Sr", "Sr", "Sr", "Sr", "Si", "Si", "Si", "Sr", "Sr", "Si", "Sr", "Si", "Sr", "Sr"], "frac_coords": [[0.500, 0.500, 0.000], [0.750, 0.750, 0.000], [0.321, 0.461, 0.500], [0.961, 0.821, 0.500], [0.000, 0.000, 0.000], [0.461, 0.961, 0.140], [0.392, 0.108, 0.500], [0.108, 0.608, 0.715], [0.608, 0.892, 0.500], [0.679, 0.539, 0.500], [0.179, 0.679, 0.140], [0.892, 0.392, 0.285], [0.039, 0.179, 0.500], [0.250, 0.250, 0.000], [0.539, 0.039, 0.860], [0.821, 0.321, 0.860]], "density_g_cm3": 3.35, "dft_energy_ev_per_atom": -3.482, "ef_mev_per_atom": -365, "de_polymorph_mev_per_atom": 0}

{"formula": "Sr5Si3", "functional": "GGA-PBE", "state": "optimized geometry", "cell": [[-4.019, -7.667, 3.817], [-2.022, 9.055, -1.852], [-0.111, -3.025, -8.964]], "species": ["Sr", "Sr", "Si", "Sr", "Sr", "Si", "Sr", "Si", "Sr", "Sr", "Si", "Si", "Sr", "Sr", "Sr", "Si"], "frac_coords": [[0.084, 0.206, 0.291], [0.250, 0.750, 0.500], [0.250, 0.250, 0.000], [0.416, 0.706, 0.122], [0.794, 0.084, 0.878], [0.154, 0.654, 0.809], [0.750, 0.250, 0.500], [0.846, 0.346, 0.191], [0.916, 0.794, 0.709], [0.584, 0.294, 0.878], [0.750, 0.750, 0.000], [0.346, 0.154, 0.500], [0.294, 0.416, 0.709], [0.206, 0.916, 0.122], [0.706, 0.584, 0.291], [0.654, 0.846, 0.500]], "density_g_cm3": 3.38, "dft_energy_ev_per_atom": -3.378, "ef_mev_per_atom": -261, "de_polymorph_mev_per_atom": 105, "m_tot_mub_per_cell": 2.00}

{"formula": "Sr2Zn5Si3", "functional": "GGA-PBE", "state": "optimized geometry", "cell": [[4.271, 0.000, 0.000], [0.000, 4.271, 0.000], [0.000, 0.000, 10.691]], "species": ["Zn", "Si", "Zn", "Si", "Zn", "Sr", "Zn", "Zn", "Sr", "Si"], "frac_coords": [[0.500, 0.000, 0.748], [0.000, 0.000, 0.614], [0.000, 0.500, 0.748], [0.000, 0.000, 0.388], [0.500, 0.000, 0.254], [0.500, 0.500, 0.503], [0.000, 0.500, 0.254], [0.500, 0.500, 0.114], [0.000, 0.000, 0.996], [0.500, 0.500, 0.882]], "density_g_cm3": 4.99, "dft_energy_ev_per_atom": -2.913, "ef_mev_per_atom": -296}

{"formula": "Sr4Zn3Si5", "functional": "GGA-PBE", "state": "optimized geometry", "cell": [[2.132, -3.692, 0.000], [2.132, 3.692, 0.000], [0.000, 0.000, 18.295]], "species": ["Si", "Si", "Si", "Si", "Sr", "Si", "Sr", "Zn", "Zn", "Zn", "Sr", "Sr"], "frac_coords": [[0.667, 0.333, 0.251], [0.667, 0.333, 0.000], [0.000, 0.000, 0.000], [0.000, 0.000, 0.500], [0.333, 0.667, 0.126], [0.667, 0.333, 0.749], [0.333, 0.667, 0.625], [0.000, 0.000, 0.751], [0.667, 0.333, 0.500], [0.000, 0.000, 0.249], [0.333, 0.667, 0.375], [0.333, 0.667, 0.874]], "density_g_cm3": 3.96, "dft_energy_ev_per_atom": -3.544, "ef_mev_per_atom": -376, "m_tot_mub_per_cell": 0.01}

{"formula": "Ta5Si3", "functional": "GGA-PBE", "state": "optimized geometry", "cell": [[7.178, -1.610, 1.596], [-6.562, 1.222, 3.480], [-1.781, -6.720, -2.887]], "species": ["Si", "Ta", "Ta", "Si", "Ta", "Si", "Ta", "Ta", "Ta", "Si", "Ta", "Ta", "Ta", "Si", "Si", "Ta"], "frac_coords": [[0.834, 0.666, 0.500], [0.720, 0.425, 0.145], [0.220, 0.075, 0.295], [0.666, 0.166, 0.831], [0.075, 0.780, 0.855], [0.250, 0.250, 0.000], [0.425, 0.280, 0.705], [0.925, 0.220, 0.145], [0.575, 0.720, 0.295], [0.750, 0.750, 0.000], [0.780, 0.925, 0.705], [0.250, 0.750, 0.500], [0.280, 0.575, 0.855], [0.166, 0.334, 0.500], [0.334, 0.834, 0.169], [0.750, 0.250, 0.500]], "density_g_cm3": 12.79, "dft_energy_ev_per_atom": -10.013, "ef_mev_per_atom": -541, "de_polymorph_mev_per_atom": 50}

{"formula": "Ta5Si3", "functional": "GGA-PBE", "state": "optimized geometry", "cell": [[2.127, 4.244, 5.844], [-5.762, 2.174, -4.332], [-3.343, -2.631, 3.127]], "species": ["Si", "Ta", "Ta", "Si", "Si", "Ta", "Ta", "Si", "Ta", "Si", "Ta", "Si", "Ta", "Ta", "Ta", "Ta"], "frac_coords": [[0.000, 0.605, 0.250], [0.667, 0.333, 0.000], [0.333, 0.667, 0.000], [0.395, 0.395, 0.250], [0.605, 0.000, 0.250], [0.246, 0.246, 0.750], [0.000, 0.246, 0.250], [0.605, 0.605, 0.750], [0.000, 0.754, 0.750], [0.395, 0.000, 0.750], [0.667, 0.333, 0.500], [0.000, 0.395, 0.750], [0.246, 0.000, 0.250], [0.754, 0.754, 0.250], [0.754, 0.000, 0.750], [0.333, 0.667, 0.500]], "density_g_cm3": 12.67, "dft_energy_ev_per_atom": -9.949, "ef_mev_per_atom": -477, "de_polymorph_mev_per_atom": 114, "m_tot_mub_per_cell": 0.01}

{"formula": "Ta5Si3", "functional": "GGA-PBE", "state": "optimized geometry", "cell": [[-2.587, -7.086, 0.470], [-0.121, -1.450, 7.417], [-2.993, 5.871, -3.701]], "species": ["Si", "Ta", "Ta", "Ta", "Si", "Ta", "Si", "Ta", "Ta", "Ta", "Ta", "Ta", "Ta", "Si", "Si", "Si"], "frac_coords": [[0.750, 0.750, 0.000], [0.500, 0.500, 0.000], [0.185, 0.685, 0.170], [0.015, 0.185, 0.500], [0.250, 0.250, 0.000], [0.985, 0.815, 0.500], [0.370, 0.130, 0.500], [0.315, 0.485, 0.500], [0.000, 0.000, 0.000], [0.815, 0.315, 0.830], [0.515, 0.015, 0.830], [0.485, 0.985, 0.170], [0.685, 0.515, 0.500], [0.630, 0.870, 0.500], [0.870, 0.370, 0.240], [0.130, 0.630, 0.760]], "density_g_cm3": 12.79, "dft_energy_ev_per_atom": -10.063, "ef_mev_per_atom": -591, "de_polymorph_mev_per_atom": 0}

{"formula": "Ta2Si", "functional": "GGA-PBE", "state": "optimized geometry", "cell": [[5.028, -0.559, 0.239], [-2.339, 3.085, 3.265], [-1.848, -4.599, 1.040]], "species": ["Ta", "Ta", "Ta", "Si", "Ta", "Si"], "frac_coords": [[0.163, 0.337, 0.500], [0.837, 0.663, 0.500], [0.337, 0.837, 0.173], [0.250, 0.250, 0.000], [0.663, 0.163, 0.827], [0.750, 0.750, 0.000]], "density_g_cm3": 13.27, "dft_energy_ev_per_atom": -10.270, "ef_mev_per_atom": -533}

{"formula": "TaVSi4", "functional": "GGA-PBE", "state": "optimized geometry", "cell": [[-12.765, 2.361, -0.788], [-0.277, -2.756, -3.774], [-0.882, -4.590, 0.534]], "species": ["V", "Si", "Ta", "Si", "Si", "Si", "Ta", "V", "Si", "Si", "Si", "Si", "Ta", "V", "Si", "Si", "Si", "Si"], "frac_coords": [[0.749, 0.000, 0.500], [0.912, 0.845, 0.323], [0.249, 0.000, 0.500], [0.585, 0.837, 0.838], [0.753, 0.321, 0.847], [0.079, 0.166, 0.155], [0.083, 0.500, 0.500], [0.418, 0.500, 0.000], [0.753, 0.679, 0.153], [0.253, 0.677, 0.156], [0.418, 0.158, 0.684], [0.585, 0.163, 0.162], [0.585, 0.500, 0.500], [0.916, 0.500, 0.000], [0.418, 0.842, 0.316], [0.253, 0.323, 0.844], [0.912, 0.155, 0.677], [0.079, 0.834, 0.845]], "density_g_cm3": 6.89, "dft_energy_ev_per_atom": -7.566, "ef_mev_per_atom": -412, "m_tot_mub_per_cell": 0.00}

{"formula": "ZrTaSi", "functional": "GGA-PBE", "state": "optimized geometry", "cell": [[2.726, -4.549, 0.000], [2.726, 4.549, 0.000], [0.000, 0.000, 8.816]], "species": ["Ta", "Ta", "Zr", "Ta", "Zr", "Zr", "Si", "Zr", "Si", "Si", "Ta", "Si"], "frac_coords": [[0.830, 0.658, 0.000], [0.163, 0.837, 0.500], [0.333, 0.667, 0.802], [0.342, 0.170, 0.000], [0.333, 0.667, 0.198], [0.668, 0.332, 0.681], [0.004, 0.996, 0.751], [0.668, 0.332, 0.319], [0.648, 0.826, 0.500], [0.004, 0.996, 0.249], [0.833, 0.167, 0.000], [0.174, 0.352, 0.500]], "density_g_cm3": 9.12, "dft_energy_ev_per_atom": -8.967, "ef_mev_per_atom": -333, "m_tot_mub_per_cell": 0.00}

{"formula": "Tb3Si", "functional": "GGA-PBE", "state": "optimized geometry", "cell": [[-3.240, 3.648, -4.626], [-2.858, -1.159, 5.974], [2.141, 4.245, 1.848]], "species": ["Si", "Tb", "Tb", "Tb", "Tb", "Tb", "Si", "Tb"], "frac_coords": [[0.333, 0.667, 0.750], [0.645, 0.822, 0.250], [0.355, 0.178, 0.750], [0.822, 0.645, 0.750], [0.178, 0.355, 0.250], [0.178, 0.822, 0.250], [0.667, 0.333, 0.250], [0.822, 0.178, 0.750]], "density_g_cm3": 8.40, "dft_energy_ev_per_atom": -5.081, "ef_mev_per_atom": -231, "m_tot_mub_per_cell": 0.00}